# 1
Entry from Materials Project: Nd2Y after structural relaxation (r²SCAN).

```
data_Nd2Y
_chemical_formula_sum 'Nd6 Y3'
_cell_length_a 3.6947
_cell_length_b 3.6947
_cell_length_c 26.5109
_cell_angle_alpha 90.00
_cell_angle_beta 90.00
_cell_angle_gamma 120.00
_symmetry_space_group_name_H-M 'R -3 m'
_symmetry_Int_Tables_number 166
_symmetry_space_group_name_Hall '-R 3 2"'
loop_
_atom_site_label
_atom_site_type_symbol
_atom_site_fract_x
_atom_site_fract_y
_atom_site_fract_z
Nd1 Nd 0.0000 0.0000 0.2231
Y1 Y 0.0000 0.0000 0.0000
```



# 2
Entry from Materials Project: Nd3Y after structural relaxation (r²SCAN).

* energy above the lowest structure with this stoichiometry: 0 meV per atom

```
data_Nd3Y
_chemical_formula_sum 'Nd3 Y1'
_cell_length_a 3.6807
_cell_length_b 3.6807
_cell_length_c 11.8351
_cell_angle_alpha 90.00
_cell_angle_beta 90.00
_cell_angle_gamma 120.00
_symmetry_space_group_name_H-M 'P -6 m 2'
_symmetry_Int_Tables_number 187
_symmetry_space_group_name_Hall 'P -6 2'
loop_
_atom_site_label
_atom_site_type_symbol
_atom_site_fract_x
_atom_site_fract_y
_atom_site_fract_z
Nd1 Nd 0.0000 0.0000 0.0000
Nd2 Nd 0.6667 0.3333 0.2534
Y1 Y 0.3333 0.6667 0.5000
```



What did we get for energy of formation? Answer: 0.042; 0.012 eV per atom, in the order shown.